(1)
First-principles (PBE with a Hubbard U) data for an optimized crystal structure of BaTbMn2O6, as listed in Materials Project.

E_form: -2591 kJ/mol of formula units
total energy: -147.92 eV for the cell shown
spin magnetization: 14.00 Bohr magnetons per cell

a b c (Å): 5.5360 5.5822 7.8236
angles (deg): 90.00 90.00 90.00
Closest atoms and distances in Å follow each position.
Atoms (fractional coordinates):
1 Mn 0.2500 0.2489 0.2423  6 O 1.94-2.02
2 O 0.2500 0.3215 0.0000  2 Mn 1.94
3 Mn 0.2500 0.2489 0.7577  6 O 1.94-2.02
4 Ba 0.7500 0.2594 0.5000  8 O 2.66-2.92
5 Mn 0.7500 0.7511 0.7577  6 O 1.94-2.02
6 O 0.0000 0.0000 0.8070  2 Mn 2.00
7 O 0.0000 0.0000 0.1930  2 Mn 2.00
8 O 0.0000 0.5000 0.2457  2 Mn 1.97
9 Tb 0.2500 0.7411 0.0000  5 O 2.34-2.51
10 O 0.0000 0.5000 0.7543  2 Mn 1.97
11 Ba 0.2500 0.7406 0.5000  8 O 2.66-2.92
12 O 0.5000 0.0000 0.1930  2 Mn 2.00
13 O 0.7500 0.7821 0.5000  2 Mn 2.02
14 Tb 0.7500 0.2589 0.0000  5 O 2.34-2.51
15 O 0.5000 0.5000 0.7543  2 Mn 1.97
16 O 0.5000 0.5000 0.2457  2 Mn 1.97
17 O 0.5000 0.0000 0.8070  2 Mn 2.00
18 O 0.7500 0.6785 0.0000  2 Mn 1.94
19 Mn 0.7500 0.7511 0.2423  6 O 1.94-2.02
20 O 0.2500 0.2179 0.5000  2 Mn 2.02

---

(2)
First-principles (PBE with a Hubbard U) data for an optimized crystal structure of Ba2Tb2Mn4O11, as listed in Materials Project.

E_form: -5088 kJ/mol of formula units
total energy: -285.37 eV for the cell shown
spin magnetization: 32.00 Bohr magnetons per cell

a b c (Å): 9.6108 9.6108 9.6108
angles (deg): 132.94 129.09 71.83
Closest atoms and distances in Å follow each position.
Atoms (fractional coordinates):
1 O 0.5850 0.6145 0.9704  2 Mn 1.94
2 O 0.0471 0.0912 0.9558  2 Mn 1.99
3 O 0.2514 0.0014 0.7500  2 Mn 1.93-2.13
4 Mn 0.3757 0.1257 0.7500  4 O 1.93-1.94
5 O 0.4150 0.3855 0.0296  2 Mn 1.94
6 O 0.3315 0.3156 0.4480  1 Mn 1.95
7 O 0.3315 0.8835 0.0159  1 Mn 1.95
8 Mn 0.3757 0.6257 0.2500  4 O 1.93-1.94
9 Ba 0.5007 0.2489 0.2518  9 O 2.81-3.11
10 O 0.6685 0.6844 0.5520  1 Mn 1.95
11 Mn 0.6243 0.3743 0.7500  4 O 1.93-1.94
12 Tb 0.7203 0.4965 0.2238  4 O 2.34-2.36
13 Ba 0.0029 0.2511 0.7518  9 O 2.81-3.11
14 O 0.1324 0.1844 0.5159  1 Mn 1.95
15 O 0.3559 0.8855 0.4704  2 Mn 1.94
16 O 0.5000 0.2500 0.7500  2 Mn 1.94
17 Mn 0.8858 0.6358 0.7500  5 O 1.95-2.13
18 O 0.6441 0.1145 0.5296  2 Mn 1.94
19 O 0.8676 0.3835 0.0520  1 Mn 1.95
20 Ba 0.9971 0.7489 0.2482  9 O 2.81-3.11
21 Tb 0.7274 0.0035 0.7238  4 O 2.34-2.36
22 O 0.5000 0.7500 0.2500  2 Mn 1.94
23 O 0.2514 0.5014 0.2500  2 Mn 1.93-2.13
24 Mn 0.8858 0.1358 0.2500  5 O 1.95-2.13
25 O 0.8646 0.4088 0.4558  2 Mn 1.99
26 O 0.8676 0.8156 0.4841  1 Mn 1.95
27 Tb 0.2797 0.5035 0.7762  4 O 2.34-2.36
28 Mn 0.6243 0.8743 0.2500  4 O 1.93-1.94
29 O 0.9529 0.9088 0.0442  2 Mn 1.99
30 Tb 0.2726 0.9965 0.2762  4 O 2.34-2.36
31 O 0.1354 0.5912 0.5442  2 Mn 1.99
32 Ba 0.4993 0.7511 0.7482  9 O 2.81-3.11
33 O 0.1324 0.6165 0.9480  1 Mn 1.95
34 Mn 0.1142 0.3642 0.2500  5 O 1.95-2.13
35 O 0.6685 0.1165 0.9841  1 Mn 1.95
36 Mn 0.1142 0.8642 0.7500  5 O 1.95-2.13
37 O 0.7486 0.9986 0.2500  2 Mn 1.93-2.13
38 O 0.7486 0.4986 0.7500  2 Mn 1.93-2.13

---

(3)
First-principles (PBE with a Hubbard U) data for an optimized crystal structure of Ba2MnTeO6, as listed in Materials Project.

E_form: -2393 kJ/mol of formula units
total energy: -259.38 eV for the cell shown
spin magnetization: 0.00 Bohr magnetons per cell

a b c (Å): 8.3385 8.3384 10.2149
angles (deg): 65.91 114.09 90.00
Closest atoms and distances in Å follow each position.
Atoms (fractional coordinates):
1 Ba 0.6250 0.3750 0.7500  12 O 2.95
2 Mn 0.5000 0.5000 0.0000  6 O 2.20
3 O 0.0000 0.2637 0.0000  1 Te 1.97, 1 Mn 2.20
4 Ba 0.3750 0.6250 0.2500  12 O 2.95
5 O 0.2637 0.0000 0.0000  1 Te 1.97, 1 Mn 2.20
6 O 0.2500 0.9863 0.5000  1 Te 1.97, 1 Mn 2.20
7 O 0.2500 0.5137 0.5000  1 Te 1.97, 1 Mn 2.20
8 O 0.6319 0.3681 0.2638  1 Te 1.97, 1 Mn 2.20
9 Ba 0.3750 0.1250 0.2500  12 O 2.95
10 O 0.8681 0.1319 0.7363  1 Te 1.97, 1 Mn 2.20
11 Mn 0.2500 0.2500 0.5000  6 O 2.20
12 O 0.0000 0.7363 0.0000  1 Te 1.97, 1 Mn 2.20
13 Ba 0.8750 0.6250 0.2500  12 O 2.95
14 O 0.3819 0.1181 0.7638  1 Te 1.97, 1 Mn 2.20
15 O 0.7500 0.4863 0.5000  1 Te 1.97, 1 Mn 2.20
16 Ba 0.6250 0.8750 0.7500  12 O 2.95
17 O 0.5000 0.2363 0.0000  1 Te 1.97, 1 Mn 2.20
18 Ba 0.8750 0.1250 0.2500  12 O 2.95
19 O 0.9863 0.2500 0.5000  1 Te 1.97, 1 Mn 2.20
20 O 0.1319 0.8681 0.2637  1 Te 1.97, 1 Mn 2.20
21 O 0.8819 0.6181 0.7638  1 Te 1.97, 1 Mn 2.20
22 Mn 0.7500 0.7500 0.5000  6 O 2.20
23 Te 0.7500 0.2500 0.5000  6 O 1.97
24 Mn 0.0000 0.0000 0.0000  6 O 2.20
25 O 0.2363 0.5000 0.0000  1 Te 1.97, 1 Mn 2.20
26 O 0.1181 0.3819 0.2362  1 Te 1.97, 1 Mn 2.20
27 O 0.5000 0.7637 0.0000  1 Te 1.97, 1 Mn 2.20
28 Te 0.0000 0.5000 0.0000  6 O 1.97
29 O 0.4863 0.7500 0.5000  1 Te 1.97, 1 Mn 2.20
30 O 0.0137 0.7500 0.5000  1 Te 1.97, 1 Mn 2.20
31 O 0.3681 0.6319 0.7362  1 Te 1.97, 1 Mn 2.20
32 O 0.6181 0.8819 0.2363  1 Te 1.97, 1 Mn 2.20
33 Ba 0.1250 0.8750 0.7500  12 O 2.95
34 O 0.5137 0.2500 0.5000  1 Te 1.97, 1 Mn 2.20
35 O 0.7363 0.0000 0.0000  1 Te 1.97, 1 Mn 2.20
36 Te 0.5000 0.0000 0.0000  6 O 1.97
37 Te 0.2500 0.7500 0.5000  6 O 1.97
38 Ba 0.1250 0.3750 0.7500  12 O 2.95
39 O 0.7637 0.5000 0.0000  1 Te 1.97, 1 Mn 2.20
40 O 0.7500 0.0137 0.5000  1 Te 1.97, 1 Mn 2.20

---

(4)
First-principles (PBE with a Hubbard U) data for an optimized crystal structure of Ba2TiMnO6, as listed in Materials Project.

E_form: -2867 kJ/mol of formula units
total energy: -298.04 eV for the cell shown
spin magnetization: 0.00 Bohr magnetons per cell

a b c (Å): 5.7624 9.9803 9.9832
angles (deg): 109.46 90.00 90.00
Closest atoms and distances in Å follow each position.
Atoms (fractional coordinates):
1 O 0.5000 0.1051 0.3694  1 Mn 1.93, 1 Ti 2.03
2 O 0.5000 0.2970 0.8823  1 Ti 1.95, 1 Mn 1.97
3 O 0.0000 0.6051 0.3694  1 Mn 1.93, 1 Ti 2.03
4 O 0.2769 0.8821 0.3694  1 Mn 1.93, 1 Ti 2.04
5 Ba 0.0000 0.1292 0.3876  12 O 2.89-3.02
6 Ba 0.0000 0.7147 0.1442  12 O 2.81-2.99
7 O 0.2544 0.4573 0.1176  1 Ti 1.95, 1 Mn 1.97
8 O 0.7544 0.0427 0.8824  1 Ti 1.95, 1 Mn 1.97
9 Ba 0.0000 0.8708 0.6124  12 O 2.89-3.02
10 Ba 0.5000 0.6292 0.3876  12 O 2.89-3.02
11 O 0.0000 0.3949 0.6306  1 Mn 1.93, 1 Ti 2.03
12 O 0.7456 0.5427 0.8824  1 Ti 1.95, 1 Mn 1.97
13 O 0.7769 0.6179 0.6306  1 Mn 1.93, 1 Ti 2.04
14 O 0.2544 0.5427 0.8824  1 Ti 1.95, 1 Mn 1.97
15 O 0.5000 0.8949 0.6306  1 Mn 1.93, 1 Ti 2.03
16 O 0.2231 0.3821 0.3694  1 Mn 1.93, 1 Ti 2.04
17 O 0.2231 0.6179 0.6306  1 Mn 1.93, 1 Ti 2.04
18 Mn 0.0000 0.5000 0.5000  6 O 1.93
19 O 0.7769 0.3821 0.3694  1 Mn 1.93, 1 Ti 2.04
20 Mn 0.0000 0.0000 0.0000  6 O 1.97
21 Ti 0.0000 0.5928 0.7786  6 O 1.95-2.04
22 Ti 0.5000 0.0928 0.7786  6 O 1.95-2.04
23 O 0.2456 0.0427 0.8824  1 Ti 1.95, 1 Mn 1.97
24 Ba 0.5000 0.3708 0.6124  12 O 2.89-3.02
25 O 0.7231 0.8821 0.3694  1 Mn 1.93, 1 Ti 2.04
26 Ti 0.5000 0.9072 0.2214  6 O 1.95-2.04
27 Mn 0.5000 0.0000 0.5000  6 O 1.93
28 Mn 0.5000 0.5000 0.0000  6 O 1.97
29 Ti 0.0000 0.4072 0.2214  6 O 1.95-2.04
30 O 0.0000 0.7970 0.8823  1 Ti 1.95, 1 Mn 1.97
31 O 0.2456 0.9573 0.1176  1 Ti 1.95, 1 Mn 1.97
32 Ba 0.5000 0.7853 0.8558  12 O 2.81-2.99
33 O 0.5000 0.7030 0.1177  1 Ti 1.95, 1 Mn 1.97
34 O 0.7456 0.4573 0.1176  1 Ti 1.95, 1 Mn 1.97
35 O 0.2769 0.1179 0.6306  1 Mn 1.93, 1 Ti 2.04
36 O 0.7231 0.1179 0.6306  1 Mn 1.93, 1 Ti 2.04
37 O 0.7544 0.9573 0.1176  1 Ti 1.95, 1 Mn 1.97
38 O 0.0000 0.2030 0.1177  1 Ti 1.95, 1 Mn 1.97
39 Ba 0.0000 0.2853 0.8558  12 O 2.81-2.99
40 Ba 0.5000 0.2147 0.1442  12 O 2.81-2.99